1.
KNdGeS4 after structural relaxation. Source: Materials Project, functional PBE.

Unit cell a=6.670 b=6.777 c=8.791 alpha=90.00 beta=107.24 gamma=90.00
Fractional positions:
K 0.230 0.000 0.434
K 0.770 0.500 0.566
Nd 0.272 0.016 0.948
Nd 0.728 0.516 0.052
Ge 0.277 0.484 0.180
Ge 0.723 0.984 0.820
S 0.076 0.482 0.338
S 0.079 0.427 0.930
S 0.479 0.747 0.774
S 0.479 0.754 0.209
S 0.521 0.247 0.226
S 0.521 0.254 0.791
S 0.921 0.927 0.070
S 0.924 0.982 0.662

Calculated values
formation energy = -1.54 eV per atom
final energy = -5.121 eV per atom
crystal system = monoclinic

***

2.
K4GeO4 after structural relaxation. Source: Materials Project, functional PBE.

Unit cell a=6.494 b=6.539 c=9.430 alpha=72.44 beta=80.58 gamma=65.67
Fractional positions:
K 0.225 0.455 0.124
K 0.239 0.906 0.348
K 0.254 0.269 0.531
K 0.274 0.007 0.939
K 0.726 0.993 0.061
K 0.746 0.731 0.469
K 0.761 0.094 0.652
K 0.775 0.545 0.876
Ge 0.260 0.653 0.750
Ge 0.740 0.347 0.250
O 0.045 0.788 0.879
O 0.106 0.664 0.604
O 0.430 0.825 0.683
O 0.437 0.359 0.840
O 0.563 0.641 0.160
O 0.570 0.175 0.317
O 0.894 0.336 0.396
O 0.955 0.212 0.121

Calculated values
formation energy = -1.96 eV per atom
final energy = -4.862 eV per atom
crystal system = triclinic

***

3.
K2Ge2O3 after structural relaxation. Source: Materials Project, functional PBE.

Unit cell a=7.069 b=7.069 c=7.069 alpha=109.47 beta=109.47 gamma=109.47
Fractional positions:
K 0.000 0.994 0.500
K 0.500 0.000 0.994
K 0.506 0.506 0.506
K 0.994 0.500 0.000
Ge 0.000 0.465 0.500
Ge 0.035 0.035 0.035
Ge 0.465 0.500 0.000
Ge 0.500 0.000 0.465
O 0.245 0.995 0.250
O 0.250 0.245 0.995
O 0.255 0.505 0.750
O 0.505 0.750 0.255
O 0.750 0.255 0.505
O 0.995 0.250 0.245

Calculated values
formation energy = -1.77 eV per atom
final energy = -5.235 eV per atom
crystal system = cubic

***

4.
K6Ge2O7 after structural relaxation. Source: Materials Project, functional PBE.

Unit cell a=6.628 b=9.209 c=11.345 alpha=90.00 beta=124.05 gamma=90.00
Fractional positions:
K 0.000 0.040 0.000
K 0.000 0.960 0.500
K 0.192 0.278 0.318
K 0.192 0.722 0.818
K 0.354 0.102 0.854
K 0.354 0.898 0.354
K 0.452 0.400 0.703
K 0.452 0.600 0.203
K 0.611 0.222 0.237
K 0.611 0.778 0.737
K 0.805 0.459 0.556
K 0.805 0.541 0.056
Ge 0.089 0.394 0.908
Ge 0.089 0.606 0.408
Ge 0.717 0.108 0.648
Ge 0.717 0.892 0.148
O 0.155 0.335 0.075
O 0.155 0.665 0.575
O 0.354 0.418 0.907
O 0.354 0.582 0.407
O 0.458 0.090 0.656
O 0.458 0.910 0.156
O 0.643 0.159 0.478
O 0.643 0.841 0.978
O 0.893 0.453 0.344
O 0.893 0.547 0.844
O 0.910 0.252 0.774
O 0.910 0.748 0.274
O 0.911 0.046 0.214
O 0.911 0.954 0.714

Calculated values
formation energy = -2.03 eV per atom
final energy = -5.083 eV per atom
crystal system = monoclinic

***

5.
K4GeO4 after structural relaxation. Source: Materials Project, functional PBE.

Unit cell a=10.601 b=6.658 c=10.670 alpha=90.00 beta=111.43 gamma=90.00
Fractional positions:
K 0.056 0.091 0.192
K 0.056 0.409 0.692
K 0.161 0.605 0.088
K 0.161 0.895 0.588
K 0.366 0.664 0.889
K 0.366 0.836 0.389
K 0.429 0.194 0.798
K 0.429 0.306 0.298
K 0.571 0.694 0.702
K 0.571 0.806 0.202
K 0.634 0.164 0.611
K 0.634 0.336 0.111
K 0.839 0.105 0.412
K 0.839 0.395 0.912
K 0.944 0.591 0.308
K 0.944 0.909 0.808
Ge 0.243 0.134 0.992
Ge 0.243 0.366 0.492
Ge 0.757 0.634 0.508
Ge 0.757 0.866 0.008
O 0.081 0.244 0.967
O 0.081 0.256 0.467
O 0.226 0.503 0.342
O 0.226 0.997 0.842
O 0.300 0.529 0.638
O 0.300 0.971 0.138
O 0.366 0.167 0.522
O 0.366 0.333 0.022
O 0.634 0.667 0.978
O 0.634 0.833 0.478
O 0.700 0.029 0.862
O 0.700 0.471 0.362
O 0.774 0.003 0.158
O 0.774 0.497 0.658
O 0.919 0.744 0.533
O 0.919 0.756 0.033

Calculated values
formation energy = -1.96 eV per atom
final energy = -4.863 eV per atom
crystal system = monoclinic

***

6.
KGe2P3O12 after structural relaxation. Source: Materials Project, functional PBE.

Unit cell a=8.951 b=8.951 c=8.951 alpha=54.03 beta=54.03 gamma=54.03
Fractional positions:
K 0.000 0.000 0.000
K 0.500 0.500 0.500
Ge 0.148 0.148 0.148
Ge 0.347 0.347 0.347
Ge 0.653 0.653 0.653
Ge 0.852 0.852 0.852
P 0.034 0.466 0.748
P 0.252 0.966 0.534
P 0.466 0.748 0.034
P 0.534 0.252 0.966
P 0.748 0.034 0.466
P 0.966 0.534 0.252
O 0.016 0.636 0.768
O 0.095 0.888 0.732
O 0.112 0.268 0.905
O 0.165 0.522 0.215
O 0.187 0.472 0.536
O 0.215 0.165 0.522
O 0.232 0.984 0.364
O 0.268 0.905 0.112
O 0.364 0.232 0.984
O 0.464 0.813 0.528
O 0.472 0.536 0.187
O 0.478 0.785 0.835
O 0.522 0.215 0.165
O 0.528 0.464 0.813
O 0.536 0.187 0.472
O 0.636 0.768 0.016
O 0.732 0.095 0.888
O 0.768 0.016 0.636
O 0.785 0.835 0.478
O 0.813 0.528 0.464
O 0.835 0.478 0.785
O 0.888 0.732 0.095
O 0.905 0.112 0.268
O 0.984 0.364 0.232

Calculated values
formation energy = -2.48 eV per atom
final energy = -6.800 eV per atom
crystal system = trigonal

***

7.
K2TiGeP2O10 after structural relaxation. Source: Materials Project, functional PBE.

Unit cell a=12.797 b=6.494 c=10.449 alpha=90.00 beta=90.00 gamma=90.00
Fractional positions:
K 0.106 0.198 0.000
K 0.121 0.780 0.746
K 0.379 0.280 0.246
K 0.394 0.698 0.500
K 0.606 0.302 0.000
K 0.621 0.720 0.746
K 0.879 0.220 0.246
K 0.894 0.802 0.500
Ti 0.132 0.498 0.441
Ti 0.368 0.998 0.941
Ti 0.632 0.002 0.441
Ti 0.868 0.502 0.941
Ge 0.246 0.756 0.190
Ge 0.254 0.256 0.690
Ge 0.746 0.744 0.190
Ge 0.754 0.244 0.690
P 0.000 0.337 0.693
P 0.000 0.663 0.193
P 0.181 0.004 0.443
P 0.319 0.504 0.943
P 0.500 0.163 0.693
P 0.500 0.837 0.193
P 0.681 0.496 0.443
P 0.819 0.996 0.943
O 0.011 0.533 0.316
O 0.014 0.486 0.579
O 0.095 0.809 0.170
O 0.098 0.195 0.711
O 0.113 0.194 0.415
O 0.113 0.814 0.474
O 0.226 0.557 0.314
O 0.227 0.457 0.572
O 0.244 0.541 0.060
O 0.245 0.461 0.827
O 0.255 0.961 0.327
O 0.256 0.041 0.560
O 0.273 0.957 0.072
O 0.274 0.057 0.814
O 0.387 0.314 0.974
O 0.387 0.694 0.915
O 0.402 0.695 0.211
O 0.405 0.309 0.670
O 0.486 0.986 0.079
O 0.489 0.033 0.816
O 0.511 0.967 0.316
O 0.514 0.014 0.579
O 0.595 0.691 0.170
O 0.598 0.305 0.711
O 0.613 0.306 0.415
O 0.613 0.686 0.474
O 0.726 0.943 0.314
O 0.727 0.043 0.572
O 0.744 0.959 0.060
O 0.745 0.039 0.827
O 0.755 0.539 0.327
O 0.756 0.459 0.560
O 0.773 0.543 0.072
O 0.774 0.443 0.814
O 0.887 0.186 0.974
O 0.887 0.806 0.915
O 0.902 0.805 0.211
O 0.905 0.191 0.670
O 0.986 0.514 0.079
O 0.989 0.467 0.816

Calculated values
formation energy = -2.77 eV per atom
final energy = -7.032 eV per atom
crystal system = orthorhombic

***

8.
K2Ge2Pb2O7 after structural relaxation. Source: Materials Project, functional PBE.

Unit cell a=5.886 b=5.886 c=8.109 alpha=90.00 beta=90.00 gamma=120.00
Fractional positions:
K 0.333 0.667 0.080
K 0.667 0.333 0.920
Ge 0.000 0.000 0.277
Ge 0.000 0.000 0.723
Pb 0.333 0.667 0.618
Pb 0.667 0.333 0.382
O 0.000 0.000 0.500
O 0.148 0.328 0.791
O 0.180 0.852 0.791
O 0.328 0.180 0.209
O 0.672 0.820 0.791
O 0.820 0.148 0.209
O 0.852 0.672 0.209

Calculated values
formation energy = -1.98 eV per atom
final energy = -5.726 eV per atom
crystal system = trigonal